Material: BaLa2Fe2O5F4
Method: DFT, PBE with a Hubbard U
State: relaxed

POSCAR file:
```
BaLa2Fe2O5F4
1.0
3.1999 -8.9837 6.5221
1.9664 -4.8911 10.2808
-5.2821 6.0387 -8.3137
O La F Fe Ba
5 2 4 2 1
Cartesian
0.9997 -7.0322 5.7877 O
0.3798 -5.0019 7.6711 O
-0.0221 -0.0313 -0.0190 O
-0.5460 -2.9054 0.7748 O
-1.1540 -0.8583 2.6684 O
-3.6021 1.5667 -2.8730 La
-1.7764 -3.3367 3.0651 La
-0.4061 -2.9504 5.1494 F
4.1784 -11.4779 13.7395 F
0.8629 -2.5736 2.9560 F
0.2111 -4.9979 3.2716 F
0.4388 -1.2458 1.4664 Fe
4.6946 -12.6755 15.3083 Fe
2.5661 -6.9615 8.3868 Ba
```


Material: NaMgNiO2
Method: DFT, PBE with a Hubbard U
State: relaxed

POSCAR file:
```
NaMgNiO2
1.0
0.0561 5.8451 3.1835
2.8696 4.2895 0.8221
0.7400 6.3517 -1.8470
Ni O Na Mg
1 2 1 1
Cartesian
0.0000 0.0000 0.0000 Ni
2.6056 12.5317 1.6162 O
1.0601 3.9545 0.5423 O
1.8328 8.2431 1.0793 Na
1.4348 2.1447 0.4110 Mg
```


Material: Li3Cr3GaO8
Method: DFT, PBE with a Hubbard U
State: relaxed

POSCAR file:
```
Li3Cr3GaO8
1.0
-1.0874 -2.1573 4.5848
-1.7572 -5.5530 -1.0568
8.4013 -6.2683 2.0004
Li O Cr Ga
6 16 6 2
Cartesian
6.4061 -11.2595 6.0191 Li
6.6358 -11.7426 0.9484 Li
1.7881 -9.4408 4.7834 Li
5.6521 -6.7781 1.1210 Li
2.6562 -6.6789 5.3037 Li
1.9032 -2.2894 0.3896 Li
2.8121 -9.0898 1.4971 O
-0.9727 -8.1998 2.5709 O
2.7199 -4.8834 4.1161 O
-0.0231 -5.2844 3.1357 O
5.5567 -8.5718 2.3808 O
3.7336 -9.8188 3.8873 O
-0.0557 -1.8527 1.2253 O
3.7143 -6.3403 1.9354 O
4.5445 -7.1713 4.3716 O
0.9644 -6.9087 1.1262 O
6.4624 -5.8811 2.9133 O
1.9800 -7.6430 3.5575 O
1.8209 -4.0410 1.6516 O
-0.9622 -4.5474 0.7340 O
6.5234 -9.4076 4.8425 O
5.6786 -12.1732 4.3043 O
-0.0344 -3.6033 2.1671 Cr
3.7458 -8.1276 2.8818 Cr
-0.8938 -6.3671 1.6651 Cr
0.9463 -8.6306 2.1189 Cr
6.4690 -7.6038 3.8963 Cr
4.6034 -5.3461 3.4797 Cr
5.5465 -10.4059 3.3335 Ga
1.8309 -5.8586 2.5689 Ga
```


Material: Tb2MgV2O8
Method: DFT, PBE with a Hubbard U
State: relaxed

POSCAR file:
```
Tb2MgV2O8
1.0
5.8191 -0.0316 -1.6769
-3.3014 4.9943 -1.6789
0.0176 0.0316 6.0559
O V Tb Mg
8 2 2 1
Cartesian
3.0920 0.9692 1.2194 O
1.6525 4.0251 3.1382 O
3.3396 1.7426 -1.8615 O
2.4862 3.5443 0.2281 O
0.5313 1.4499 2.8338 O
-1.2362 3.2516 4.2376 O
-0.3677 4.0138 1.3562 O
0.8162 0.9804 -0.2217 O
-0.0488 3.2408 2.9111 V
2.3982 1.7535 -0.3505 V
4.8666 0.4328 2.8564 Tb
-2.1162 4.5615 0.0051 Tb
2.6463 2.4971 2.3844 Mg
```


Material: LiLa4MnO8
Method: DFT, PBE with a Hubbard U
State: relaxed

POSCAR file:
```
LiLa4MnO8
1.0
2.6287 7.1820 -0.3498
-8.6230 2.7067 -9.2193
-5.0555 2.1107 5.3478
O La Mn Li
32 16 4 4
Cartesian
-6.7929 6.5040 -0.7769 O
-6.6474 8.1166 -9.4784 O
-5.1622 7.7560 -5.1999 O
-4.2569 5.4952 -3.4445 O
-0.5603 6.4188 2.4084 O
-3.8049 1.5949 4.0266 O
-10.7925 7.9153 -2.3665 O
-9.0043 5.2204 -2.3511 O
-8.0990 2.9596 -0.5956 O
-4.8545 7.7833 -2.2138 O
-7.7033 8.8159 -2.5410 O
-9.5791 3.2690 -4.8655 O
1.0704 7.6705 -2.0147 O
-1.4707 8.7304 0.6442 O
-10.4895 5.5808 -6.6296 O
-12.1202 4.3289 -2.2066 O
-8.6966 5.2477 0.6350 O
-6.1954 4.2163 -2.0074 O
0.0372 4.1305 1.1777 O
-2.7717 5.1349 0.8341 O
-4.5600 7.8298 0.8188 O
-2.3533 6.7519 -4.8562 O
-4.4025 3.8831 5.2572 O
-2.0456 6.7790 -1.8702 O
-2.9508 9.0397 -3.6257 O
-6.4899 4.1696 -5.0400 O
-5.8876 4.2434 0.9787 O
-7.2449 10.4044 -8.2480 O
-11.0870 7.8687 -5.3991 O
-0.2573 4.0840 -1.8548 O
-3.3466 3.1835 -1.6803 O
-8.2781 6.8646 -5.0554 O
-1.8019 4.5691 -3.5064 La
-0.5022 8.1645 -3.6968 La
-1.8021 2.6986 -0.0286 La
-4.1926 5.3196 -6.0626 La
-4.3151 3.7494 2.6606 La
-4.3443 5.6289 -0.8479 La
-0.4732 6.2849 -0.1881 La
-5.4060 9.9658 -3.5635 La
-10.5477 3.8349 -0.5245 La
-3.0152 9.2155 -1.0074 La
-6.7347 8.2500 -6.8819 La
-9.2477 9.3009 -4.1926 La
-3.0154 7.3447 2.4703 La
-10.5766 5.7146 -4.0332 La
-8.0343 4.6548 -6.6915 La
-6.7056 6.3704 -3.3734 La
-3.6038 7.2676 -3.5352 Mn
-7.4460 4.7319 -0.6864 Mn
-9.8365 7.3531 -6.7201 Mn
-5.9943 9.8886 -9.5691 Mn
-4.9182 3.6765 -3.3601 Li
-8.5221 10.9440 -6.8951 Li
-6.1316 8.3229 -0.8611 Li
-7.3087 6.2977 -9.3942 Li
```


Material: VO2F
Method: DFT, PBE with a Hubbard U
State: relaxed

POSCAR file:
```
VO2F
1.0
5.1604 0.0000 0.0000
-2.5034 4.6857 0.0000
-0.2898 -0.2416 13.0122
O F V
12 6 6
Cartesian
3.5368 0.7497 12.1334 O
3.7791 2.1362 2.8269 O
1.1557 2.0961 9.3994 O
2.0958 2.9458 11.9084 O
-1.7419 3.9519 7.8237 O
-1.4087 2.2644 9.9187 O
1.6835 4.0630 1.3459 O
1.1761 2.3392 3.4252 O
1.3717 0.7987 5.6940 O
3.9384 0.6488 5.0918 O
0.8590 3.7143 7.2448 O
-0.9118 3.8526 0.7621 O
0.5171 1.6177 0.9503 F
-0.6587 1.5185 7.4779 F
2.7964 3.0594 5.3994 F
-0.3503 4.5695 3.2672 F
0.9351 0.5240 11.5214 F
0.1321 4.5019 9.7049 F
-2.3788 4.5007 0.2056 V
2.4898 1.4821 11.0875 V
2.4517 1.3088 4.5722 V
-0.0106 2.8832 2.3266 V
2.2774 4.4281 6.7022 V
-0.1918 2.8668 8.8507 V
```


Material: Eu2Mn2O5
Method: DFT, PBE with a Hubbard U
State: relaxed

POSCAR file:
```
Eu2Mn2O5
1.0
3.5020 4.6195 6.7375
-4.3056 5.1390 5.8351
0.0389 -7.9884 -3.8963
Eu O Mn
4 10 4
Cartesian
-2.1487 -0.3978 2.4067 Eu
1.6288 -0.5374 2.7566 Eu
-2.3726 2.3215 5.9102 Eu
1.4049 2.1819 6.2601 Eu
-0.5511 -1.5074 3.8090 O
-0.7401 0.7878 6.7661 O
0.0728 3.4688 4.7371 O
1.6287 -3.1014 2.7811 O
-0.5762 3.4934 7.6206 O
-0.1529 -1.6466 0.9985 O
0.2618 1.1736 1.7801 O
-2.2536 -3.1023 1.9941 O
-2.2821 1.5982 3.6632 O
2.2990 0.6939 4.6579 O
-0.5299 7.0652 9.6310 Mn
-0.4626 -5.4471 -0.8512 Mn
-0.3160 -3.0778 2.3687 Mn
-4.2198 -2.8180 1.9175 Mn
```


Material: SrCa7Ti3Mn5O24
Method: DFT, PBE with a Hubbard U
State: relaxed

POSCAR file:
```
SrCa7Ti3Mn5O24
1.0
-0.5005 -4.2136 6.4252
7.5679 -1.2262 -0.2130
1.1457 6.3274 4.2355
Ca O Mn Ti Sr
7 24 5 3 1
Cartesian
6.1077 0.6695 7.8151 Ca
2.4248 1.2663 7.9190 Ca
6.3551 2.7595 4.6290 Ca
5.7931 -0.3795 2.5285 Ca
2.6735 3.3575 4.7329 Ca
1.8566 -1.8730 5.8194 Ca
5.5386 -2.4683 5.7149 Ca
7.9205 -0.6949 9.3807 O
2.5629 1.7984 10.5844 O
4.8306 4.6341 5.7221 O
7.7619 -1.2051 6.7082 O
7.5901 -1.7393 4.0854 O
7.3423 -3.8434 7.2633 O
6.5474 3.2975 7.2903 O
8.1676 1.3922 6.1687 O
5.9973 0.1384 5.1754 O
5.7265 -1.9588 8.3821 O
4.1424 -0.0802 9.4908 O
2.8077 3.8873 7.3993 O
1.9917 -1.3374 8.4846 O
2.2190 0.7571 5.3131 O
3.6018 -3.2342 7.3565 O
6.2935 1.1970 10.4942 O
4.2625 1.5132 3.6322 O
8.5728 4.0354 5.6267 O
3.8457 -1.1553 4.1865 O
4.3951 2.0219 6.2857 O
8.3321 1.9402 8.8333 O
4.5534 2.5516 8.9441 O
8.0005 0.8883 3.5396 O
3.9847 -0.6059 6.8316 O
4.6789 3.5996 7.3429 Mn
4.4311 1.4987 10.5463 Mn
7.8837 -0.1673 5.1220 Mn
4.1118 0.4442 5.2297 Mn
3.8582 -1.6555 8.4345 Mn
8.4522 2.9836 7.2352 Ti
7.6327 -2.2634 8.3251 Ti
8.2021 0.8875 10.4391 Ti
2.0887 0.2193 2.6261 Sr
```


no.,calculated formation energy (eV per atom),total energy (eV per atom)
1,-3.18,-6.8476
2,-0.79,-3.7313
3,-2.28,-6.6670
4,-3.08,-7.6760
5,-3.35,-7.8626
6,-2.43,-6.7660
7,-2.66,-8.9680
8,-2.84,-7.3166